1.
# K2B4H8O11 | the Materials Project database | PBE | relaxed
# ΔE_f: -2.061 eV per atom
# Total energy after the MP2020 corrections: -6.482 eV per atom
# Energy: -6.18 eV per atom
# Size of the total moment: 0.00 μB per formula unit
data_K2B4H8O11
_chemical_formula_sum 'K8 B16 H32 O44'
_space_group_name_H-M_alt 'P 21 21 21'
_space_group_IT_number 19
_cell_length_a 6.957
_cell_length_b 11.786
_cell_length_c 13.064
_cell_angle_alpha 90.00
_cell_angle_beta 90.00
_cell_angle_gamma 90.00
loop_
_space_group_symop_operation_xyz
'x,y,z'
'-x+1/2,-y,z+1/2'
'x+1/2,-y+1/2,-z'
'-x,y+1/2,-z+1/2'
loop_
_atom_site_label
_atom_site_type_symbol
_atom_site_fract_x
_atom_site_fract_y
_atom_site_fract_z
K1 K 0.031 0.077 0.116
K2 K 0.215 0.347 0.539
B1 B 0.037 0.068 0.845
B2 B 0.100 0.457 0.800
B3 B 0.137 0.664 0.792
B4 B 0.218 0.348 0.118
H1 H 0.023 0.832 0.203
H2 H 0.084 0.159 0.339
H3 H 0.095 0.283 0.816
H4 H 0.099 0.826 0.840
H5 H 0.100 0.336 0.979
H6 H 0.107 0.030 0.356
H7 H 0.214 0.875 0.416
H8 H 0.247 0.846 0.195
O1 O 0.002 0.956 0.791
O2 O 0.012 0.088 0.332
O3 O 0.046 0.160 0.768
O4 O 0.074 0.314 0.052
O5 O 0.127 0.845 0.153
O6 O 0.129 0.588 0.584
O7 O 0.131 0.751 0.871
O8 O 0.136 0.356 0.851
O9 O 0.172 0.554 0.843
O10 O 0.201 0.312 0.218
O11 O 0.214 0.054 0.904

2.
# LiBiO2 | the Materials Project database | PBE | relaxed
# ΔE_f: -1.842 eV per atom
# Total energy after the MP2020 corrections: -5.766 eV per atom
# Energy: -5.42 eV per atom
data_LiBiO2
_chemical_formula_sum 'Li8 Bi8 O16'
_space_group_name_H-M_alt 'C 1 2/c 1'
_space_group_IT_number 15
_cell_length_a 19.185
_cell_length_b 5.237
_cell_length_c 4.979
_cell_angle_alpha 90.00
_cell_angle_beta 104.75
_cell_angle_gamma 90.00
loop_
_space_group_symop_operation_xyz
'x,y,z'
'-x,-y,-z'
'-x,y,-z+1/2'
'x,-y,z+1/2'
'x+1/2,y+1/2,z'
'-x+1/2,-y+1/2,-z'
'-x+1/2,y+1/2,-z+1/2'
'x+1/2,-y+1/2,z+1/2'
loop_
_atom_site_label
_atom_site_type_symbol
_atom_site_fract_x
_atom_site_fract_y
_atom_site_fract_z
Li1 Li 0.250 0.001 0.000
Bi1 Bi 0.091 0.240 0.596
O1 O 0.082 0.169 0.024
O2 O 0.203 0.251 0.703

Copy entry 1 word for word.
# K2B4H8O11 | the Materials Project database | PBE | relaxed
# ΔE_f: -2.061 eV per atom
# Total energy after the MP2020 corrections: -6.482 eV per atom
# Energy: -6.18 eV per atom
# Size of the total moment: 0.00 μB per formula unit
data_K2B4H8O11
_chemical_formula_sum 'K8 B16 H32 O44'
_space_group_name_H-M_alt 'P 21 21 21'
_space_group_IT_number 19
_cell_length_a 6.957
_cell_length_b 11.786
_cell_length_c 13.064
_cell_angle_alpha 90.00
_cell_angle_beta 90.00
_cell_angle_gamma 90.00
loop_
_space_group_symop_operation_xyz
'x,y,z'
'-x+1/2,-y,z+1/2'
'x+1/2,-y+1/2,-z'
'-x,y+1/2,-z+1/2'
loop_
_atom_site_label
_atom_site_type_symbol
_atom_site_fract_x
_atom_site_fract_y
_atom_site_fract_z
K1 K 0.031 0.077 0.116
K2 K 0.215 0.347 0.539
B1 B 0.037 0.068 0.845
B2 B 0.100 0.457 0.800
B3 B 0.137 0.664 0.792
B4 B 0.218 0.348 0.118
H1 H 0.023 0.832 0.203
H2 H 0.084 0.159 0.339
H3 H 0.095 0.283 0.816
H4 H 0.099 0.826 0.840
H5 H 0.100 0.336 0.979
H6 H 0.107 0.030 0.356
H7 H 0.214 0.875 0.416
H8 H 0.247 0.846 0.195
O1 O 0.002 0.956 0.791
O2 O 0.012 0.088 0.332
O3 O 0.046 0.160 0.768
O4 O 0.074 0.314 0.052
O5 O 0.127 0.845 0.153
O6 O 0.129 0.588 0.584
O7 O 0.131 0.751 0.871
O8 O 0.136 0.356 0.851
O9 O 0.172 0.554 0.843
O10 O 0.201 0.312 0.218
O11 O 0.214 0.054 0.904

Look up the ΔE_f of the first one. -2.061 eV per atom

Please write out number 1 again, unchanged.
# K2B4H8O11 | the Materials Project database | PBE | relaxed
# ΔE_f: -2.061 eV per atom
# Total energy after the MP2020 corrections: -6.482 eV per atom
# Energy: -6.18 eV per atom
# Size of the total moment: 0.00 μB per formula unit
data_K2B4H8O11
_chemical_formula_sum 'K8 B16 H32 O44'
_space_group_name_H-M_alt 'P 21 21 21'
_space_group_IT_number 19
_cell_length_a 6.957
_cell_length_b 11.786
_cell_length_c 13.064
_cell_angle_alpha 90.00
_cell_angle_beta 90.00
_cell_angle_gamma 90.00
loop_
_space_group_symop_operation_xyz
'x,y,z'
'-x+1/2,-y,z+1/2'
'x+1/2,-y+1/2,-z'
'-x,y+1/2,-z+1/2'
loop_
_atom_site_label
_atom_site_type_symbol
_atom_site_fract_x
_atom_site_fract_y
_atom_site_fract_z
K1 K 0.031 0.077 0.116
K2 K 0.215 0.347 0.539
B1 B 0.037 0.068 0.845
B2 B 0.100 0.457 0.800
B3 B 0.137 0.664 0.792
B4 B 0.218 0.348 0.118
H1 H 0.023 0.832 0.203
H2 H 0.084 0.159 0.339
H3 H 0.095 0.283 0.816
H4 H 0.099 0.826 0.840
H5 H 0.100 0.336 0.979
H6 H 0.107 0.030 0.356
H7 H 0.214 0.875 0.416
H8 H 0.247 0.846 0.195
O1 O 0.002 0.956 0.791
O2 O 0.012 0.088 0.332
O3 O 0.046 0.160 0.768
O4 O 0.074 0.314 0.052
O5 O 0.127 0.845 0.153
O6 O 0.129 0.588 0.584
O7 O 0.131 0.751 0.871
O8 O 0.136 0.356 0.851
O9 O 0.172 0.554 0.843
O10 O 0.201 0.312 0.218
O11 O 0.214 0.054 0.904